# 1
# TlMo3Se3

A relaxed TlMo3Se3 crystal (GGA-PBE, Materials Project).

Lattice parameters (Å, degrees): 9.905 9.905 4.516 90.00 90.00 120.00
Positions (direct):
1 Tl 0.333 0.667 0.750
2 Tl 0.667 0.333 0.250
3 Mo 0.979 0.835 0.750
4 Mo 0.856 0.021 0.750
5 Mo 0.165 0.144 0.750
6 Mo 0.021 0.165 0.250
7 Mo 0.144 0.979 0.250
8 Mo 0.835 0.856 0.250
9 Se 0.284 0.957 0.750
10 Se 0.674 0.716 0.750
11 Se 0.043 0.326 0.750
12 Se 0.716 0.043 0.250
13 Se 0.326 0.284 0.250
14 Se 0.957 0.674 0.250

Formation enthalpy at 0 K = -14.906 kcal/mol of atoms
VASP energy = -96.99 eV per cell


# 2
# TlMo3Se3

A relaxed TlMo3Se3 crystal (GGA-PBE, Materials Project).

Lattice parameters (Å, degrees): 9.236 9.236 4.529 90.00 90.00 120.00
Positions (direct):
1 Tl 0.333 0.667 0.750
2 Tl 0.667 0.333 0.250
3 Mo 0.968 0.820 0.250
4 Mo 0.820 0.851 0.750
5 Mo 0.032 0.180 0.750
6 Mo 0.180 0.149 0.250
7 Mo 0.851 0.032 0.250
8 Mo 0.149 0.968 0.750
9 Se 0.936 0.643 0.750
10 Se 0.293 0.936 0.250
11 Se 0.707 0.064 0.750
12 Se 0.064 0.357 0.250
13 Se 0.643 0.707 0.250
14 Se 0.357 0.293 0.750

Formation enthalpy at 0 K = -15.870 kcal/mol of atoms
VASP energy = -97.58 eV per cell


# 3
# U2Mo15Se20

A relaxed U2Mo15Se20 crystal (GGA-PBE, Materials Project).

Lattice parameters (Å, degrees): 9.689 11.659 15.049 105.16 107.15 90.96
Positions (direct):
1 U 0.900 0.600 0.802
2 U 0.300 0.199 0.600
3 U 0.700 0.801 0.400
4 U 0.100 0.400 0.198
5 Mo 0.549 0.391 0.080
6 Mo 0.949 0.993 0.879
7 Mo 0.347 0.592 0.680
8 Mo 0.748 0.192 0.480
9 Mo 0.148 0.792 0.280
10 Mo 0.640 0.435 0.937
11 Mo 0.042 0.035 0.739
12 Mo 0.441 0.635 0.538
13 Mo 0.840 0.237 0.338
14 Mo 0.242 0.836 0.138
15 Mo 0.651 0.616 0.096
16 Mo 0.054 0.214 0.896
17 Mo 0.453 0.816 0.697
18 Mo 0.852 0.416 0.496
19 Mo 0.252 0.017 0.296
20 Mo 0.451 0.609 0.920
21 Mo 0.852 0.208 0.720
22 Mo 0.252 0.808 0.520
23 Mo 0.653 0.408 0.320
24 Mo 0.051 0.007 0.121
25 Mo 0.360 0.565 0.063
26 Mo 0.758 0.164 0.862
27 Mo 0.160 0.763 0.662
28 Mo 0.559 0.365 0.462
29 Mo 0.958 0.965 0.261
30 Mo 0.349 0.384 0.904
31 Mo 0.748 0.983 0.704
32 Mo 0.148 0.584 0.504
33 Mo 0.547 0.184 0.303
34 Mo 0.946 0.786 0.104
35 Se 0.014 0.247 0.505
36 Se 0.414 0.848 0.306
37 Se 0.814 0.447 0.104
38 Se 0.217 0.048 0.906
39 Se 0.614 0.647 0.705
40 Se 0.386 0.353 0.295
41 Se 0.783 0.952 0.094
42 Se 0.186 0.553 0.896
43 Se 0.586 0.152 0.694
44 Se 0.986 0.753 0.495
45 Se 0.720 0.019 0.323
46 Se 0.120 0.619 0.124
47 Se 0.525 0.223 0.925
48 Se 0.921 0.819 0.724
49 Se 0.321 0.418 0.524
50 Se 0.927 0.452 0.346
51 Se 0.327 0.050 0.149
52 Se 0.726 0.653 0.946
53 Se 0.127 0.252 0.746
54 Se 0.526 0.851 0.545
55 Se 0.749 0.380 0.629
56 Se 0.149 0.980 0.429
57 Se 0.550 0.581 0.229
58 Se 0.947 0.180 0.029
59 Se 0.351 0.777 0.826
60 Se 0.679 0.582 0.476
61 Se 0.079 0.181 0.276
62 Se 0.475 0.777 0.075
63 Se 0.880 0.381 0.876
64 Se 0.280 0.981 0.677
65 Se 0.474 0.149 0.455
66 Se 0.873 0.748 0.254
67 Se 0.274 0.347 0.054
68 Se 0.673 0.950 0.851
69 Se 0.073 0.548 0.654
70 Se 0.649 0.223 0.174
71 Se 0.053 0.820 0.971
72 Se 0.450 0.419 0.771
73 Se 0.851 0.020 0.571
74 Se 0.251 0.620 0.371

Formation enthalpy at 0 K = -18.741 kcal/mol of atoms
VASP energy = -551.63 eV per cell


# 4
# VMo6Se8

A relaxed VMo6Se8 crystal (GGA-PBE, Materials Project).

Lattice parameters (Å, degrees): 6.685 6.685 6.685 90.80 90.80 90.80
Positions (direct):
1 V 0.000 0.000 0.000
2 Mo 0.227 0.550 0.424
3 Mo 0.773 0.450 0.576
4 Mo 0.424 0.227 0.550
5 Mo 0.576 0.773 0.450
6 Mo 0.550 0.424 0.227
7 Mo 0.450 0.576 0.773
8 Se 0.122 0.360 0.759
9 Se 0.878 0.640 0.241
10 Se 0.224 0.224 0.224
11 Se 0.776 0.776 0.776
12 Se 0.360 0.759 0.122
13 Se 0.640 0.241 0.878
14 Se 0.759 0.122 0.360
15 Se 0.241 0.878 0.640

Formation enthalpy at 0 K = -15.860 kcal/mol of atoms
VASP energy = -108.67 eV per cell


# 5
# MoW3Se8

A relaxed MoW3Se8 crystal (GGA-PBE, Materials Project).

Lattice parameters (Å, degrees): 3.327 3.327 37.841 90.00 90.00 120.00
Positions (direct):
1 Mo 0.667 0.333 0.282
2 W 0.333 0.667 0.094
3 W 0.333 0.667 0.470
4 W 0.667 0.333 0.658
5 Se 0.333 0.667 0.326
6 Se 0.333 0.667 0.702
7 Se 0.667 0.333 0.049
8 Se 0.667 0.333 0.425
9 Se 0.667 0.333 0.138
10 Se 0.667 0.333 0.514
11 Se 0.333 0.667 0.238
12 Se 0.333 0.667 0.613

Formation enthalpy at 0 K = -20.757 kcal/mol of atoms
VASP energy = -84.71 eV per cell


# 6
# MoW3Se8

A relaxed MoW3Se8 crystal (GGA-PBE, Materials Project).

Lattice parameters (Å, degrees): 3.321 3.321 37.871 90.00 90.00 120.00
Positions (direct):
1 Mo 0.000 0.000 0.094
2 W 0.000 0.000 0.470
3 W 0.333 0.667 0.282
4 W 0.333 0.667 0.658
5 Se 0.000 0.000 0.326
6 Se 0.000 0.000 0.702
7 Se 0.333 0.667 0.050
8 Se 0.333 0.667 0.425
9 Se 0.333 0.667 0.138
10 Se 0.333 0.667 0.514
11 Se 0.000 0.000 0.237
12 Se 0.000 0.000 0.613

Formation enthalpy at 0 K = -20.754 kcal/mol of atoms
VASP energy = -84.71 eV per cell


Q: Which of these has the highest formation enthalpy at 0 K?
A: number 1